Entry 1:
LiVTeO5: optimized geometry, GGA+U.

Cell lengths 6.2951, 7.9520, 11.2281 Å; angles 90.00, 90.00, 90.00 degrees
Element x y z (fractional)
O  0.6459  0.1449  0.0725
O  0.5800  0.0128  0.3187
O  0.4242  0.6647  0.5544
O  0.4200  0.5128  0.1813
O  0.3017  0.9272  0.1101
O  0.3541  0.6449  0.4275
O  0.1983  0.0728  0.6101
O  0.5758  0.1647  0.9456
O  0.8541  0.8551  0.5725
O  0.6983  0.4272  0.3899
O  0.7058  0.7927  0.1201
O  0.2942  0.2927  0.3799
O  0.8017  0.5728  0.8899
O  0.9242  0.8353  0.4456
O  0.1459  0.3551  0.9275
O  0.0758  0.3353  0.0544
O  0.9200  0.9872  0.8187
O  0.0800  0.4872  0.6813
O  0.2058  0.7073  0.8799
O  0.7942  0.2073  0.6201
V  0.0521  0.5402  0.8430
V  0.4479  0.4598  0.3430
V  0.9479  0.0402  0.6570
V  0.5521  0.9598  0.1570
Li  0.0923  0.8943  0.9740
Li  0.9077  0.3943  0.5260
Li  0.5923  0.6057  0.0260
Li  0.4077  0.1057  0.4740
Te  0.6084  0.9591  0.8490
Te  0.1084  0.5409  0.1510
Te  0.3916  0.4591  0.6510
Te  0.8916  0.0409  0.3490

## Properties
The calculation puts the formation enthalpy at 0 K at -1.43 eV per atom. The value obtained for the volume is 17.564 Å³/atom. The calculation puts the total energy after the MP2020 corrections at -6.285 eV/atom. The value obtained for the relative energy among the computed polymorphs is 651 meV/atom.

=====

Entry 2:
Li3FeO4: optimized geometry, GGA+U.

Cell lengths 5.9765, 7.6506, 7.6531 Å; angles 63.95, 113.00, 113.00 degrees
Element x y z (fractional)
Li  0.2479  0.2487  0.2481
Li  0.9916  0.4960  0.5002
Li  0.7476  0.7486  0.7479
Li  0.9935  0.0012  0.9954
Li  0.2457  0.7486  0.7475
Li  0.8666  0.3675  0.8686
Li  0.3746  0.8757  0.3768
Li  0.1189  0.6197  0.1211
Li  0.6270  0.1281  0.6290
Li  0.5004  0.0014  0.9951
Li  0.5023  0.4961  0.5008
Li  0.7460  0.2488  0.2477
O  0.4836  0.2490  0.7481
O  0.5290  0.7491  0.2476
O  0.1234  0.8969  0.8528
O  0.3701  0.1437  0.0996
O  0.6211  0.8531  0.8924
O  0.8724  0.6452  0.6025
O  0.2147  0.9909  0.4895
O  0.9643  0.7492  0.2476
O  0.7314  0.5074  0.0061
O  0.2786  0.5074  0.0058
O  0.6210  0.3939  0.3514
O  0.0098  0.2487  0.7478
O  0.8727  0.1045  0.1439
O  0.3700  0.6009  0.6425
O  0.7619  0.9906  0.4895
O  0.1238  0.3545  0.3960
Fe  0.1237  0.1258  0.6251
Fe  0.6208  0.6226  0.1224
Fe  0.8725  0.8744  0.3743
Fe  0.3697  0.3717  0.8710

## Properties
The calculation puts the formation enthalpy at 0 K at -1.76 eV per atom. The value obtained for the volume is 8.720 Å³/atom. The calculation puts the total energy after the MP2020 corrections at -6.008 eV/atom. The value obtained for the relative energy among the computed polymorphs is 45 meV/atom.

=====

Entry 3:
V4O3F9: optimized geometry, GGA+U.

Cell lengths 5.2878, 7.2050, 5.4927 Å; angles 92.79, 90.00, 90.00 degrees
Element x y z (fractional)
F  0.8029  0.5450  0.3050
F  0.9004  0.2500  0.0000
F  0.6981  0.5463  0.8035
F  0.6981  0.9537  0.1965
F  0.1980  0.4497  0.6960
F  0.8029  0.9550  0.6950
F  0.3012  0.0520  0.8030
F  0.1980  0.0503  0.3040
F  0.3012  0.4480  0.1970
O  0.5718  0.2500  0.5000
O  0.4281  0.7500  0.5000
O  0.0874  0.7500  0.0000
V  0.0049  0.9900  0.0002
V  0.0049  0.5100  0.9998
V  0.5010  0.4995  0.5001
V  0.5010  0.0005  0.4999

## Properties
The calculation puts the formation enthalpy at 0 K at -2.92 eV per atom. The value obtained for the volume is 13.063 Å³/atom. The calculation puts the total energy after the MP2020 corrections at -7.196 eV/atom. The value obtained for the relative energy among the computed polymorphs is 34 meV/atom.

=====

Entry 4:
LiFe4B4O12: optimized geometry, GGA+U.

Cell lengths 5.3348, 9.0225, 10.1086 Å; angles 89.33, 89.42, 89.64 degrees
Element x y z (fractional)
O  0.2976  0.6956  0.8242
O  0.2564  0.4701  0.6486
O  0.2942  0.9505  0.8992
O  0.7569  0.5287  0.3648
O  0.0861  0.1815  0.0871
O  0.7843  0.4717  0.8707
O  0.9275  0.8023  0.9156
O  0.4110  0.3287  0.9186
O  0.2225  0.7964  0.1743
O  0.5715  0.6871  0.0654
O  0.7425  0.9705  0.6256
O  0.0789  0.8043  0.5721
O  0.3050  0.2955  0.3225
O  0.8104  0.7894  0.3330
O  0.6971  0.2952  0.1644
O  0.6995  0.7113  0.6721
O  0.7099  0.0374  0.1164
O  0.1923  0.2086  0.6622
O  0.7840  0.2141  0.8224
O  0.5709  0.3037  0.5647
O  0.9307  0.1986  0.4236
O  0.4284  0.6961  0.4265
O  0.2575  0.0331  0.3518
O  0.2206  0.5351  0.1226
B  0.3367  0.6676  0.1224
B  0.6704  0.6680  0.3740
B  0.1664  0.1725  0.3670
B  0.8292  0.1669  0.1228
B  0.6604  0.3380  0.8711
B  0.3365  0.3287  0.6230
B  0.1737  0.8223  0.8778
B  0.8382  0.8327  0.6234
Fe  0.1578  0.8345  0.3714
Fe  0.6609  0.3316  0.3676
Fe  0.1593  0.1513  0.8697
Fe  0.8447  0.8315  0.1235
Fe  0.6600  0.6704  0.8757
Fe  0.3364  0.3378  0.1203
Fe  0.3526  0.6698  0.6191
Fe  0.8390  0.1689  0.6260
Li  0.1492  0.4898  0.8407
Li  0.3533  0.9935  0.1019

## Properties
The calculation puts the formation enthalpy at 0 K at -2.23 eV per atom. The value obtained for the volume is 11.583 Å³/atom. The calculation puts the total energy after the MP2020 corrections at -8.033 eV/atom. The value obtained for the relative energy among the computed polymorphs is 4 meV/atom.

=====

Entry 5:
MgFe3O3F3: optimized geometry, GGA+U.

Cell lengths 5.3631, 6.1357, 5.3584 Å; angles 116.80, 59.93, 117.54 degrees
Element x y z (fractional)
F  0.5272  0.7208  0.3096
F  0.3084  0.7204  0.8794
F  0.8781  0.7120  0.5216
Fe  0.6699  0.0220  0.6768
Fe  0.0643  0.1830  0.0628
Fe  0.4752  0.4313  0.4770
O  0.6870  0.1652  0.0726
O  0.0747  0.1663  0.4144
O  0.4127  0.1640  0.6844
Mg  0.3012  0.8994  0.3002

## Properties
The calculation puts the formation enthalpy at 0 K at -2.25 eV per atom. The value obtained for the volume is 12.966 Å³/atom. The calculation puts the total energy after the MP2020 corrections at -7.015 eV/atom. The value obtained for the relative energy among the computed polymorphs is 17 meV/atom.

=====

Entry 6:
LiMn2P2HO8: optimized geometry, GGA+U.

Cell lengths 5.1680, 8.8977, 8.7564 Å; angles 85.16, 78.24, 105.42 degrees
Element x y z (fractional)
O  0.1823  0.2316  0.4288
O  0.8948  0.8741  0.1778
O  0.2620  0.7365  0.4009
O  0.2105  0.1750  0.0882
O  0.6972  0.1173  0.3744
O  0.3028  0.8828  0.6256
O  0.1052  0.1259  0.8223
O  0.9220  0.4036  0.3138
O  0.1402  0.7091  0.0147
O  0.0779  0.5964  0.6863
O  0.6259  0.6000  0.1334
O  0.8177  0.7684  0.5712
O  0.7379  0.2634  0.5992
O  0.8598  0.2910  0.9853
O  0.7895  0.8250  0.9119
O  0.3742  0.4000  0.8666
Mn  0.2267  0.6049  0.2162
Mn  0.7732  0.3947  0.7834
Mn  0.6712  0.8780  0.4041
Mn  0.3288  0.1220  0.5959
H  0.0999  0.0608  0.1233
H  0.9001  0.9392  0.8768
P  0.1348  0.2501  0.9366
P  0.1004  0.7435  0.5722
P  0.8652  0.7499  0.0635
P  0.8997  0.2565  0.4278
Li  0.6137  0.2967  0.1950
Li  0.3863  0.7034  0.8050

## Properties
The calculation puts the formation enthalpy at 0 K at -2.43 eV per atom. The value obtained for the volume is 13.425 Å³/atom. The calculation puts the total energy after the MP2020 corrections at -7.721 eV/atom.

=====

Entry 7:
MgMnRe2H2O10: optimized geometry, GGA+U.

Cell lengths 5.9935, 5.7546, 8.0991 Å; angles 110.81, 107.71, 89.99 degrees
Element x y z (fractional)
O  0.0989  0.2249  0.4500
O  0.3897  0.8012  0.6024
O  0.6103  0.1988  0.3976
O  0.2170  0.6775  0.8589
O  0.3279  0.5903  0.1807
O  0.2169  0.1817  0.8588
O  0.9011  0.7751  0.5500
O  0.7831  0.8183  0.1412
O  0.7830  0.3225  0.1411
O  0.6721  0.4097  0.8193
Mn  0.0000  0.5000  0.0000
Re  0.8194  0.1426  0.2854
Re  0.1806  0.8574  0.7146
Mg  0.5000  0.5000  0.0000
H  0.6224  0.3418  0.6836
H  0.3776  0.6582  0.3164

## Properties
The calculation puts the formation enthalpy at 0 K at -2.08 eV per atom. The value obtained for the volume is 15.432 Å³/atom. The calculation puts the total energy after the MP2020 corrections at -7.825 eV/atom.

=====

Entry 8:
Sr2NbWO6: optimized geometry, GGA+U.

Cell lengths 5.8286, 5.8286, 5.8286 Å; angles 60.00, 60.00, 60.00 degrees
Element x y z (fractional)
O  0.2432  0.7568  0.7568
O  0.7568  0.2432  0.7568
O  0.7568  0.2432  0.2432
O  0.2432  0.7568  0.2432
O  0.7568  0.7568  0.2432
O  0.2432  0.2432  0.7568
Nb  0.0000  0.0000  0.0000
Sr  0.7500  0.7500  0.7500
Sr  0.2500  0.2500  0.2500
W  0.5000  0.5000  0.5000

## Properties
The calculation puts the formation enthalpy at 0 K at -2.88 eV per atom. The value obtained for the volume is 14.002 Å³/atom. The calculation puts the total energy after the MP2020 corrections at -8.491 eV/atom.

=====

Entry 9:
Hf3NiO6F6: optimized geometry, GGA+U.

Cell lengths 7.1279, 7.7168, 9.5238 Å; angles 133.50, 74.77, 125.84 degrees
Element x y z (fractional)
F  0.3585  0.7403  0.0993
F  0.6728  0.7839  0.5028
F  0.3272  0.2161  0.4972
F  0.0058  0.3802  0.7241
F  0.6415  0.2597  0.9007
F  0.9942  0.6198  0.2759
Ni  0.0000  0.0000  0.0000
O  0.8451  0.8156  0.2238
O  0.1549  0.1844  0.7762
O  0.9448  0.1116  0.8660
O  0.7043  0.6549  0.8825
O  0.2957  0.3451  0.1175
O  0.0552  0.8884  0.1340
Hf  0.0000  0.5000  0.0000
Hf  0.0000  0.0000  0.5000
Hf  0.5000  0.5000  0.0000

## Properties
The calculation puts the formation enthalpy at 0 K at -2.79 eV per atom. The value obtained for the volume is 18.697 Å³/atom. The calculation puts the total energy after the MP2020 corrections at -7.594 eV/atom. The value obtained for the relative energy among the computed polymorphs is 98 meV/atom.

=====

Entry 10:
Li7Mn5O12: optimized geometry, GGA+U.

Cell lengths 5.9668, 5.9951, 6.5436 Å; angles 103.40, 104.54, 86.29 degrees
Element x y z (fractional)
O  0.9104  0.4333  0.6784
O  0.5874  0.6112  0.3530
O  0.4229  0.9001  0.6549
O  0.5581  0.0837  0.3260
O  0.7459  0.7222  0.9803
O  0.0887  0.0645  0.3271
O  0.1005  0.5789  0.3144
O  0.4368  0.4378  0.6476
O  0.7751  0.2495  0.0073
O  0.2329  0.7546  0.0190
O  0.8965  0.8955  0.6857
O  0.2446  0.2688  0.0062
Mn  0.9923  0.4907  0.9944
Mn  0.9935  0.9980  0.0006
Mn  0.3410  0.8426  0.3389
Mn  0.3398  0.3353  0.3327
Mn  0.6667  0.6667  0.6667
Li  0.8313  0.8431  0.3467
Li  0.5008  0.0056  0.9963
Li  0.1667  0.1667  0.6667
Li  0.5020  0.4902  0.9866
Li  0.6667  0.1667  0.6667
Li  0.8326  0.3278  0.3370
Li  0.1667  0.6667  0.6667

## Properties
The calculation puts the formation enthalpy at 0 K at -2.14 eV per atom. The value obtained for the volume is 9.184 Å³/atom. The calculation puts the total energy after the MP2020 corrections at -7.077 eV/atom. The value obtained for the relative energy among the computed polymorphs is 19 meV/atom.

=====

Entry 11:
MnSiO3: optimized geometry, GGA+U.

Cell lengths 5.9715, 8.8620, 13.0877 Å; angles 112.81, 90.95, 90.32 degrees
Element x y z (fractional)
Mn  0.2133  0.4477  0.5821
Mn  0.1318  0.2008  0.3149
Mn  0.8203  0.3763  0.1432
Mn  0.3492  0.2420  0.7262
Mn  0.0000  0.0000  0.0000
Mn  0.7867  0.5523  0.4179
Mn  0.8682  0.7992  0.6851
Mn  0.6508  0.7580  0.2738
Mn  0.5000  0.0000  0.0000
Mn  0.1797  0.6237  0.8568
O  0.0965  0.2574  0.6242
O  0.7618  0.1240  0.1384
O  0.6687  0.9153  0.8445
O  0.6014  0.7005  0.5555
O  0.3080  0.8630  0.4707
O  0.9035  0.7426  0.3758
O  0.6920  0.1370  0.5293
O  0.5971  0.8391  0.0999
O  0.1918  0.3985  0.8788
O  0.9964  0.2291  0.9949
O  0.0036  0.7709  0.0051
O  0.0919  0.9834  0.3308
O  0.8082  0.6015  0.1212
O  0.6520  0.5812  0.9161
O  0.8479  0.3220  0.4216
O  0.2382  0.8760  0.8616
O  0.8932  0.5933  0.7433
O  0.3313  0.0847  0.1555
O  0.3865  0.9617  0.6859
O  0.7090  0.3076  0.7393
O  0.3986  0.2995  0.4445
O  0.2910  0.6924  0.2607
O  0.9081  0.0166  0.6692
O  0.4029  0.1609  0.9001
O  0.1521  0.6780  0.5784
O  0.6135  0.0383  0.3141
O  0.3480  0.4188  0.0839
O  0.4293  0.5221  0.7303
O  0.1068  0.4067  0.2567
O  0.5707  0.4779  0.2697
Si  0.8649  0.1692  0.6374
Si  0.1351  0.8308  0.3626
Si  0.7819  0.6890  0.0344
Si  0.5761  0.0352  0.1897
Si  0.2181  0.3110  0.9656
Si  0.6387  0.2110  0.4349
Si  0.4239  0.9648  0.8103
Si  0.6808  0.5113  0.7794
Si  0.3192  0.4887  0.2206
Si  0.3613  0.7890  0.5651

## Properties
The calculation puts the formation enthalpy at 0 K at -2.68 eV per atom. The value obtained for the volume is 12.765 Å³/atom. The calculation puts the total energy after the MP2020 corrections at -8.567 eV/atom.

=====

Entry 12:
Li4Cr3FeO8: optimized geometry, GGA+U.

Cell lengths 5.1359, 5.9527, 5.9112 Å; angles 119.77, 90.00, 73.32 degrees
Element x y z (fractional)
Fe  0.5000  0.5000  0.7484
O  0.2408  0.2722  0.6372
O  0.7434  0.2734  0.3837
O  0.2429  0.2741  0.1384
O  0.2566  0.7266  0.6103
O  0.7571  0.7259  0.3643
O  0.7592  0.7278  0.8650
O  0.7440  0.2720  0.8867
O  0.2560  0.7280  0.1147
Li  0.5002  0.0000  0.7498
Li  0.4998  0.0000  0.2498
Li  0.0010  0.9998  0.0001
Li  0.9990  0.0002  0.5003
Cr  0.0000  0.5000  0.0022
Cr  0.5000  0.5000  0.2478
Cr  0.0000  0.5000  0.5014

## Properties
The calculation puts the formation enthalpy at 0 K at -2.29 eV per atom. The value obtained for the volume is 9.253 Å³/atom. The calculation puts the total energy after the MP2020 corrections at -7.584 eV/atom. The value obtained for the relative energy among the computed polymorphs is 0 meV/atom.

=====

Entry 13:
Li4Mn2Co3Sn3O16: optimized geometry, GGA+U.

Cell lengths 5.9626, 6.0104, 9.5854 Å; angles 89.59, 91.27, 119.48 degrees
Element x y z (fractional)
Sn  0.6625  0.8342  0.2129
Sn  0.1742  0.3419  0.2128
Sn  0.8309  0.1685  0.7110
Li  0.3247  0.6782  0.8890
Li  0.0193  0.9732  0.9903
Li  0.6650  0.3389  0.4028
Li  0.0117  0.9794  0.5016
O  0.8381  0.1664  0.0855
O  0.6495  0.3417  0.6111
O  0.3340  0.1604  0.0948
O  0.3206  0.6759  0.0985
O  0.1615  0.8303  0.6146
O  0.8374  0.6658  0.0967
O  0.4887  0.5233  0.3467
O  0.0471  0.5405  0.3424
O  0.1639  0.3093  0.5991
O  0.4790  0.9781  0.3320
O  0.0181  0.9935  0.3129
O  0.6668  0.8242  0.5976
O  0.9496  0.4917  0.8464
O  0.5164  0.4791  0.8360
O  0.0059  0.9870  0.8084
O  0.5116  0.0499  0.8462
Co  0.8233  0.6580  0.7157
Co  0.3328  0.1654  0.7157
Co  0.1754  0.8327  0.2133
Mn  0.3315  0.6713  0.4955
Mn  0.6601  0.3408  0.9786

## Properties
The calculation puts the formation enthalpy at 0 K at -1.86 eV per atom. The value obtained for the volume is 10.677 Å³/atom. The calculation puts the total energy after the MP2020 corrections at -6.807 eV/atom. The value obtained for the relative energy among the computed polymorphs is 0 meV/atom.